1.
56
Lattice="8.5384 0.0000 0.0000 0.0000 8.5036 0.0000 -2.5069 0.0000 9.4898" Properties=species:S:1:pos:R:3 comment="VH3C4O6, relaxed, DFT GGA+U" m_tot_mub_per_fu=2.00 vol_a3_per_atom=12.304 spacegroup="P2_1/c, No. 14" energy_ev_per_atom=-6.979 pbc="T T T"
V 0.8886 0.4849 1.1843
V -0.3649 3.7669 5.9292
V 6.3964 4.7367 3.5606
V 5.1429 8.0187 8.3054
H -1.1439 0.9421 8.0729
H 0.1095 3.3097 3.3280
H 1.7347 1.9768 5.9703
H 2.9881 2.2750 1.2254
H 3.4551 0.8576 1.8563
H 2.2016 3.3942 6.6012
H 3.8298 5.1094 2.8886
H 2.5764 7.6460 7.6335
H 3.0434 6.2285 8.2644
H 4.2968 6.5268 3.5195
H 5.9220 5.1939 6.1618
H 7.1754 7.5614 1.4169
C -1.5429 5.7633 8.9346
C -0.2894 6.9921 4.1897
C -0.7152 4.5725 8.8322
C 0.5383 8.1828 4.0873
C 1.6702 6.1405 0.6786
C 0.4168 6.6148 5.4235
C 2.3603 4.8258 0.6787
C 1.1069 7.9296 5.4236
C 4.9246 0.5740 4.0662
C 3.6712 3.6778 8.8111
C 5.6147 1.8888 4.0663
C 4.3612 2.3630 8.8111
C 5.4932 0.3207 5.4025
C 6.7466 3.9311 0.6576
C 6.3209 1.5115 5.3001
C 7.5743 2.7403 0.5552
O -1.2460 1.9270 6.0112
O 0.0075 2.3248 1.2663
O -1.5702 0.3147 8.6867
O -0.3167 3.9370 3.9418
O 0.7310 0.5809 3.2165
O -0.5224 3.6709 7.9614
O 0.5055 5.6136 6.1915
O 1.7589 7.1418 1.4466
O 2.8280 1.2946 1.2159
O 1.5745 2.9572 5.9607
O 1.8194 0.0640 6.2239
O 3.0729 4.1878 1.4790
O 2.9586 4.3158 8.0107
O 4.2121 8.4396 3.2659
O 4.4570 5.5464 3.5290
O 3.2035 7.2090 8.2739
O 4.2725 1.3618 8.0431
O 5.5260 2.8900 3.2983
O 6.5539 4.8327 1.5283
O 5.3004 7.9227 6.2732
O 6.3482 4.5665 5.5480
O 7.6017 8.1888 0.8031
O 6.0240 6.1788 8.2234
O 7.2775 6.5766 3.4785

***

2.
46
Lattice="6.6077 0.0000 0.0000 0.0000 6.4075 0.0000 -1.8720 0.0000 19.1330" Properties=species:S:1:pos:R:3 comment="Mn2HgC10O10, relaxed, DFT GGA+U" m_tot_mub_per_fu=0.00 vol_a3_per_atom=17.610 spacegroup="P2_1/c, No. 14" e_above_lowest_polymorph_ev_per_atom=0.0000 pbc="T T T"
Mn 1.0151 0.9714 2.3164
Mn 0.0791 2.2324 11.8829
Mn 4.6567 4.1751 7.2501
Mn 3.7207 5.4361 16.8166
Hg 0.0000 0.0000 0.0000
Hg -0.9360 3.2037 9.5665
C -1.2073 4.6822 16.5921
C -0.2713 4.9290 7.0256
C -0.5347 3.8079 12.6337
C 0.4013 5.8034 3.0672
C 0.5318 0.8041 10.8011
C 1.4678 2.3997 1.2346
C 0.7804 1.5610 13.4174
C 1.7164 1.6428 3.8510
C 2.5532 0.0738 1.8101
C 1.6172 3.1300 11.3766
C 3.1186 3.2775 7.7564
C 2.1826 6.3337 17.3229
C 3.0194 4.7647 15.2820
C 3.9554 4.8465 5.7155
C 3.2679 4.0078 17.8984
C 4.2039 5.6034 8.3319
C 4.3345 0.6041 16.0657
C 5.2705 2.5996 6.4993
C 5.0071 1.4785 12.1074
C 5.9431 1.7253 2.5409
O -0.9092 4.7945 13.1161
O 0.0268 4.8167 3.5497
O -0.1650 4.1991 16.4355
O 0.7710 5.4122 6.8691
O 1.7371 3.3081 0.5611
O 0.8011 6.3031 10.1276
O 1.2348 1.1329 14.3952
O 2.1708 2.0708 4.8287
O 1.2182 0.4994 17.6186
O 2.1542 2.7043 8.0521
O 2.5815 3.7032 11.0809
O 3.5175 5.9081 1.5144
O 2.5649 4.3367 14.3042
O 3.5009 5.2746 4.7378
O 3.9346 0.1044 9.0054
O 2.9986 3.0994 18.5719
O 3.9648 0.9953 12.2639
O 4.9008 2.2084 2.6974
O 4.7089 1.5908 15.5833
O 5.6449 1.6130 6.0168

***

Copy entry 2 word for word.
46
Lattice="6.6077 0.0000 0.0000 0.0000 6.4075 0.0000 -1.8720 0.0000 19.1330" Properties=species:S:1:pos:R:3 comment="Mn2HgC10O10, relaxed, DFT GGA+U" m_tot_mub_per_fu=0.00 vol_a3_per_atom=17.610 spacegroup="P2_1/c, No. 14" e_above_lowest_polymorph_ev_per_atom=0.0000 pbc="T T T"
Mn 1.0151 0.9714 2.3164
Mn 0.0791 2.2324 11.8829
Mn 4.6567 4.1751 7.2501
Mn 3.7207 5.4361 16.8166
Hg 0.0000 0.0000 0.0000
Hg -0.9360 3.2037 9.5665
C -1.2073 4.6822 16.5921
C -0.2713 4.9290 7.0256
C -0.5347 3.8079 12.6337
C 0.4013 5.8034 3.0672
C 0.5318 0.8041 10.8011
C 1.4678 2.3997 1.2346
C 0.7804 1.5610 13.4174
C 1.7164 1.6428 3.8510
C 2.5532 0.0738 1.8101
C 1.6172 3.1300 11.3766
C 3.1186 3.2775 7.7564
C 2.1826 6.3337 17.3229
C 3.0194 4.7647 15.2820
C 3.9554 4.8465 5.7155
C 3.2679 4.0078 17.8984
C 4.2039 5.6034 8.3319
C 4.3345 0.6041 16.0657
C 5.2705 2.5996 6.4993
C 5.0071 1.4785 12.1074
C 5.9431 1.7253 2.5409
O -0.9092 4.7945 13.1161
O 0.0268 4.8167 3.5497
O -0.1650 4.1991 16.4355
O 0.7710 5.4122 6.8691
O 1.7371 3.3081 0.5611
O 0.8011 6.3031 10.1276
O 1.2348 1.1329 14.3952
O 2.1708 2.0708 4.8287
O 1.2182 0.4994 17.6186
O 2.1542 2.7043 8.0521
O 2.5815 3.7032 11.0809
O 3.5175 5.9081 1.5144
O 2.5649 4.3367 14.3042
O 3.5009 5.2746 4.7378
O 3.9346 0.1044 9.0054
O 2.9986 3.0994 18.5719
O 3.9648 0.9953 12.2639
O 4.9008 2.2084 2.6974
O 4.7089 1.5908 15.5833
O 5.6449 1.6130 6.0168